Record 1
Entry from Materials Project: a geometry-optimized Zr3Te2 structure (PBE).

Computed properties:
- ΔH_f (0 K) (meV/atom) = -525
- calculated total energy (eV/atom) = -6.74

abc: 5.3882 5.3882 5.3882
angles: 69.02 69.02 69.02
Sites, in units of the cell vectors:
1 Zr 0.0000 0.6455 0.3545
2 Zr 0.6455 0.3545 0.0000
3 Zr 0.3545 0.0000 0.6455
4 Te 0.1592 0.1592 0.1592
5 Te 0.8408 0.8408 0.8408



Record 2
Entry from Materials Project: a geometry-optimized CaSm2O4 structure (PBE).

Computed properties:
- ΔH_f (0 K) (meV/atom) = -3627
- calculated total energy (eV/atom) = -7.70

abc: 7.0015 7.0015 7.0015
angles: 60.00 60.00 60.00
Sites, in units of the cell vectors:
1 Ca 0.5000 0.5000 0.5000
2 Ca 0.7500 0.7500 0.7500
3 Sm 0.1250 0.1250 0.1250
4 Sm 0.6250 0.1250 0.1250
5 Sm 0.1250 0.6250 0.1250
6 Sm 0.1250 0.1250 0.6250
7 O 0.3636 0.3636 0.9091
8 O 0.9091 0.3636 0.3636
9 O 0.3636 0.9091 0.3636
10 O 0.8864 0.8864 0.8864
11 O 0.3636 0.3636 0.3636
12 O 0.8864 0.3409 0.8864
13 O 0.3409 0.8864 0.8864
14 O 0.8864 0.8864 0.3409



Record 3
Entry from Materials Project: a geometry-optimized Mg6TiBi structure (PBE).

Computed properties:
- E above lowest polymorph (eV per atom) = 0.000
- ΔH_f (0 K) (meV/atom) = 43
- calculated total energy (eV/atom) = -2.63

abc: 5.1103 6.5002 10.8694
angles: 90.00 90.00 90.00
Sites, in units of the cell vectors:
1 Mg 0.0000 0.7410 0.5797
2 Mg 0.0000 0.2590 0.5797
3 Mg 0.0000 0.0000 0.3353
4 Mg 0.5000 0.7458 0.4157
5 Mg 0.5000 0.2542 0.4157
6 Mg 0.5000 0.0000 0.1665
7 Mg 0.0000 0.2410 0.0797
8 Mg 0.0000 0.7590 0.0797
9 Mg 0.0000 0.5000 0.8353
10 Mg 0.5000 0.2458 0.9157
11 Mg 0.5000 0.7542 0.9157
12 Mg 0.5000 0.5000 0.6665
13 Ti 0.0000 0.0000 0.8344
14 Ti 0.0000 0.5000 0.3344
15 Bi 0.5000 0.0000 0.6730
16 Bi 0.5000 0.5000 0.1730



Record 4
Entry from Materials Project: a geometry-optimized Sr2UNi structure (PBE).

Computed properties:
- ΔH_f (0 K) (meV/atom) = 1107
- calculated total energy (eV/atom) = -4.01

abc: 5.6309 5.6309 5.6309
angles: 60.00 60.00 60.00
Sites, in units of the cell vectors:
1 Sr 0.2500 0.2500 0.2500
2 Sr 0.7500 0.7500 0.7500
3 U 0.0000 0.0000 0.0000
4 Ni 0.5000 0.5000 0.5000



Record 5
Entry from Materials Project: a geometry-optimized Hf6Zn6N structure (PBE).

Computed properties:
- ΔH_f (0 K) (meV/atom) = -522
- calculated total energy (eV/atom) = -6.31

abc: 8.4727 8.4727 8.4727
angles: 60.00 60.00 60.00
Sites, in units of the cell vectors:
1 Hf 0.1895 0.8105 0.1895
2 Hf 0.4395 0.0605 0.4395
3 Hf 0.4395 0.0605 0.0605
4 Hf 0.4395 0.4395 0.0605
5 Hf 0.1895 0.8105 0.8105
6 Hf 0.0605 0.4395 0.0605
7 Hf 0.8105 0.8105 0.1895
8 Hf 0.0605 0.4395 0.4395
9 Hf 0.1895 0.1895 0.8105
10 Hf 0.8105 0.1895 0.1895
11 Hf 0.8105 0.1895 0.8105
12 Hf 0.0605 0.0605 0.4395
13 Zn 0.8323 0.5032 0.8323
14 Zn 0.4177 0.4177 0.7468
15 Zn 0.7468 0.4177 0.4177
16 Zn 0.4177 0.4177 0.4177
17 Zn 0.8323 0.8323 0.5032
18 Zn 0.4177 0.7468 0.4177
19 Zn 0.8323 0.8323 0.8323
20 Zn 0.5032 0.8323 0.8323
21 Zn 0.6250 0.1250 0.6250
22 Zn 0.6250 0.6250 0.1250
23 Zn 0.1250 0.6250 0.6250
24 Zn 0.6250 0.6250 0.6250
25 N 0.0000 0.0000 0.0000
26 N 0.2500 0.2500 0.2500



Record 6
Entry from Materials Project: a geometry-optimized Y3Ge6Pt4 structure (PBE).

Computed properties:
- ΔH_f (0 K) (meV/atom) = -876
- calculated total energy (eV/atom) = -6.37

abc: 4.3615 8.8059 13.3757
angles: 80.54 90.00 90.00
Sites, in units of the cell vectors:
1 Y 0.2500 0.7653 0.4385
2 Y 0.2500 0.5903 0.1875
3 Y 0.7500 0.2347 0.5615
4 Y 0.7500 0.4097 0.8125
5 Y 0.7500 0.9343 0.8139
6 Y 0.2500 0.0657 0.1861
7 Ge 0.7500 0.5861 0.5677
8 Ge 0.7500 0.1262 0.0057
9 Ge 0.7500 0.8804 0.5671
10 Ge 0.2500 0.6961 0.7159
11 Ge 0.7500 0.3039 0.2841
12 Ge 0.7500 0.8057 0.2780
13 Ge 0.2500 0.8738 0.9943
14 Ge 0.2500 0.1943 0.7220
15 Ge 0.2500 0.3774 0.0016
16 Ge 0.2500 0.1196 0.4329
17 Ge 0.7500 0.6226 0.9984
18 Ge 0.2500 0.4139 0.4323
19 Pt 0.7500 0.3532 0.1006
20 Pt 0.2500 0.9703 0.6246
21 Pt 0.7500 0.8486 0.0911
22 Pt 0.7500 0.0297 0.3754
23 Pt 0.2500 0.6468 0.8994
24 Pt 0.2500 0.1514 0.9089
25 Pt 0.7500 0.5332 0.3757
26 Pt 0.2500 0.4668 0.6243